(1)
{"formula": "V3CoSn2P6O24", "functional": "PBE+U", "state": "relaxed", "cell": [[8.453, 0.000, 0.000], [-4.206, 7.343, 0.000], [-4.180, -2.471, 7.671]], "species": ["V", "V", "V", "Co", "Sn", "Sn", "P", "P", "P", "P", "P", "P", "O", "O", "O", "O", "O", "O", "O", "O", "O", "O", "O", "O", "O", "O", "O", "O", "O", "O", "O", "O", "O", "O", "O", "O"], "fractional_positions": [[0.000, 0.000, 0.000], [0.016, 0.508, 0.521], [0.601, 0.300, 0.901], [0.618, 0.807, 0.426], [0.275, 0.137, 0.425], [0.350, 0.675, 0.026], [0.084, 0.687, 0.209], [0.096, 0.904, 0.707], [0.516, 0.611, 0.707], [0.524, 0.400, 0.213], [0.803, 0.188, 0.708], [0.809, 0.123, 0.208], [0.052, 0.703, 0.674], [0.070, 0.672, 0.372], [0.095, 0.934, 0.880], [0.121, 0.885, 0.189], [0.275, 0.684, 0.229], [0.310, 0.239, 0.196], [0.313, 0.609, 0.665], [0.326, 0.057, 0.752], [0.480, 0.423, 0.747], [0.505, 0.348, 0.040], [0.546, 0.619, 0.555], [0.548, 0.595, 0.235], [0.630, 0.001, 0.560], [0.637, 0.953, 0.230], [0.688, 0.261, 0.749], [0.690, 0.155, 0.037], [0.709, 0.784, 0.878], [0.710, 0.408, 0.372], [0.879, 0.536, 0.037], [0.939, 0.930, 0.557], [0.951, 0.065, 0.188], [0.951, 0.167, 0.883], [0.962, 0.346, 0.670], [0.968, 0.300, 0.369]], "relative_energy_mev_per_atom": 15.2, "final_energy_ev_per_atom": -7.17, "m_tot_mub_per_atom": 0.062}



(2)
{"formula": "V3CoSn2P6O24", "functional": "PBE+U", "state": "relaxed", "cell": [[4.284, 2.473, 7.455], [-4.284, 2.473, 7.455], [0.000, -4.947, 7.455]], "species": ["V", "V", "V", "Co", "Sn", "Sn", "P", "P", "P", "P", "P", "P", "O", "O", "O", "O", "O", "O", "O", "O", "O", "O", "O", "O", "O", "O", "O", "O", "O", "O", "O", "O", "O", "O", "O", "O"], "fractional_positions": [[0.000, 0.000, 0.000], [0.207, 0.207, 0.207], [0.704, 0.704, 0.704], [0.501, 0.501, 0.501], [0.361, 0.361, 0.361], [0.853, 0.853, 0.853], [0.102, 0.817, 0.389], [0.316, 0.601, 0.886], [0.389, 0.102, 0.817], [0.601, 0.886, 0.316], [0.817, 0.389, 0.102], [0.886, 0.316, 0.601], [0.061, 0.850, 0.226], [0.073, 0.289, 0.429], [0.132, 0.776, 0.919], [0.137, 0.983, 0.360], [0.226, 0.061, 0.850], [0.277, 0.632, 0.411], [0.289, 0.429, 0.073], [0.338, 0.573, 0.722], [0.360, 0.137, 0.983], [0.411, 0.277, 0.632], [0.429, 0.073, 0.289], [0.482, 0.637, 0.860], [0.573, 0.722, 0.338], [0.574, 0.926, 0.792], [0.632, 0.411, 0.277], [0.637, 0.860, 0.482], [0.722, 0.338, 0.573], [0.776, 0.919, 0.132], [0.792, 0.574, 0.926], [0.850, 0.226, 0.061], [0.860, 0.482, 0.637], [0.919, 0.132, 0.776], [0.926, 0.792, 0.574], [0.983, 0.360, 0.137]], "relative_energy_mev_per_atom": 0.0, "final_energy_ev_per_atom": -7.19, "m_tot_mub_per_atom": 0.167}



(3)
{"formula": "SrCoP2O7", "functional": "PBE+U", "state": "relaxed", "cell": [[5.387, 0.000, 0.000], [0.000, 8.341, 0.000], [-5.323, 0.000, 12.909]], "species": ["Sr", "Sr", "Sr", "Sr", "Co", "Co", "Co", "Co", "P", "P", "P", "P", "P", "P", "P", "P", "O", "O", "O", "O", "O", "O", "O", "O", "O", "O", "O", "O", "O", "O", "O", "O", "O", "O", "O", "O", "O", "O", "O", "O", "O", "O", "O", "O"], "fractional_positions": [[0.009, 0.164, 0.222], [0.009, 0.336, 0.722], [0.991, 0.664, 0.278], [0.991, 0.836, 0.778], [0.286, 0.650, 0.605], [0.286, 0.850, 0.105], [0.714, 0.150, 0.895], [0.714, 0.350, 0.395], [0.332, 0.200, 0.020], [0.332, 0.300, 0.520], [0.419, 0.035, 0.668], [0.419, 0.465, 0.168], [0.581, 0.535, 0.832], [0.581, 0.965, 0.332], [0.668, 0.700, 0.480], [0.668, 0.800, 0.980], [0.110, 0.189, 0.912], [0.110, 0.311, 0.412], [0.197, 0.058, 0.708], [0.197, 0.442, 0.208], [0.267, 0.097, 0.100], [0.267, 0.403, 0.600], [0.316, 0.618, 0.764], [0.316, 0.882, 0.264], [0.320, 0.114, 0.553], [0.320, 0.386, 0.053], [0.381, 0.669, 0.474], [0.381, 0.831, 0.974], [0.479, 0.641, 0.153], [0.479, 0.859, 0.653], [0.521, 0.141, 0.347], [0.521, 0.359, 0.847], [0.619, 0.169, 0.026], [0.619, 0.331, 0.526], [0.680, 0.614, 0.947], [0.680, 0.886, 0.447], [0.684, 0.118, 0.736], [0.684, 0.382, 0.236], [0.733, 0.597, 0.400], [0.733, 0.903, 0.900], [0.803, 0.558, 0.792], [0.803, 0.942, 0.292], [0.890, 0.689, 0.588], [0.890, 0.811, 0.088]], "final_energy_ev_per_atom": -7.11}



(4)
{"formula": "SrCo3P4O14", "functional": "PBE+U", "state": "relaxed", "cell": [[7.561, 0.000, 0.000], [0.000, 7.809, 0.000], [-3.597, 0.000, 8.916]], "species": ["Sr", "Sr", "Co", "Co", "Co", "Co", "Co", "Co", "P", "P", "P", "P", "P", "P", "P", "P", "O", "O", "O", "O", "O", "O", "O", "O", "O", "O", "O", "O", "O", "O", "O", "O", "O", "O", "O", "O", "O", "O", "O", "O", "O", "O", "O", "O"], "fractional_positions": [[0.000, 0.000, 0.000], [0.000, 0.500, 0.500], [0.314, 0.125, 0.472], [0.314, 0.375, 0.972], [0.500, 0.000, 0.000], [0.500, 0.500, 0.500], [0.686, 0.625, 0.028], [0.686, 0.875, 0.528], [0.104, 0.058, 0.702], [0.104, 0.442, 0.202], [0.388, 0.704, 0.194], [0.388, 0.796, 0.694], [0.612, 0.204, 0.306], [0.612, 0.296, 0.806], [0.896, 0.558, 0.798], [0.896, 0.942, 0.298], [0.098, 0.518, 0.807], [0.098, 0.982, 0.307], [0.123, 0.180, 0.585], [0.123, 0.320, 0.085], [0.182, 0.628, 0.178], [0.182, 0.872, 0.678], [0.228, 0.115, 0.865], [0.228, 0.385, 0.365], [0.343, 0.624, 0.612], [0.343, 0.876, 0.112], [0.473, 0.578, 0.113], [0.473, 0.922, 0.613], [0.498, 0.712, 0.365], [0.498, 0.788, 0.865], [0.502, 0.212, 0.135], [0.502, 0.288, 0.635], [0.527, 0.078, 0.387], [0.527, 0.422, 0.887], [0.657, 0.124, 0.888], [0.657, 0.376, 0.388], [0.772, 0.615, 0.635], [0.772, 0.885, 0.135], [0.818, 0.128, 0.322], [0.818, 0.372, 0.822], [0.877, 0.680, 0.915], [0.877, 0.820, 0.415], [0.902, 0.018, 0.693], [0.902, 0.482, 0.193]], "final_energy_ev_per_atom": -7.03, "m_tot_mub_per_atom": 0.409}



(5)
{"formula": "SrZnCoP2O8", "functional": "PBE+U", "state": "relaxed", "cell": [[-3.700, -4.419, 5.936], [6.813, -5.871, 3.011], [3.944, 8.092, 2.746]], "species": ["Sr", "Sr", "Sr", "Sr", "Zn", "Zn", "Zn", "Zn", "Co", "Co", "Co", "Co", "P", "P", "P", "P", "P", "P", "P", "P", "O", "O", "O", "O", "O", "O", "O", "O", "O", "O", "O", "O", "O", "O", "O", "O", "O", "O", "O", "O", "O", "O", "O", "O", "O", "O", "O", "O", "O", "O", "O", "O"], "fractional_positions": [[0.524, 0.275, 0.050], [0.024, 0.775, 0.050], [0.476, 0.725, 0.950], [0.976, 0.225, 0.949], [0.686, 0.694, 0.646], [0.186, 0.194, 0.646], [0.314, 0.306, 0.354], [0.814, 0.806, 0.354], [0.240, 0.608, 0.559], [0.260, 0.892, 0.441], [0.740, 0.108, 0.559], [0.760, 0.392, 0.441], [0.409, 0.015, 0.234], [0.909, 0.515, 0.234], [0.591, 0.986, 0.766], [0.091, 0.485, 0.766], [0.433, 0.590, 0.301], [0.933, 0.090, 0.301], [0.567, 0.410, 0.699], [0.067, 0.910, 0.699], [0.683, 0.873, 0.896], [0.183, 0.373, 0.896], [0.317, 0.127, 0.104], [0.817, 0.627, 0.104], [0.570, 0.904, 0.211], [0.070, 0.404, 0.211], [0.430, 0.096, 0.789], [0.930, 0.596, 0.789], [0.728, 0.069, 0.763], [0.228, 0.569, 0.763], [0.272, 0.931, 0.237], [0.772, 0.431, 0.237], [0.534, 0.582, 0.697], [0.034, 0.082, 0.697], [0.466, 0.418, 0.303], [0.966, 0.918, 0.303], [0.875, 0.875, 0.580], [0.375, 0.374, 0.580], [0.125, 0.126, 0.420], [0.625, 0.626, 0.420], [0.629, 0.367, 0.868], [0.129, 0.867, 0.868], [0.371, 0.633, 0.132], [0.871, 0.133, 0.132], [0.481, 0.109, 0.395], [0.981, 0.609, 0.395], [0.519, 0.891, 0.605], [0.019, 0.391, 0.605], [0.786, 0.164, 0.366], [0.286, 0.664, 0.366], [0.214, 0.836, 0.634], [0.714, 0.336, 0.634]], "relative_energy_mev_per_atom": 0.0, "final_energy_ev_per_atom": -6.72, "m_tot_mub_per_atom": 0.000}



(6)
{"formula": "Ti3Co2TeP6O24", "functional": "PBE+U", "state": "relaxed", "cell": [[4.399, 2.539, 7.005], [-4.399, 2.539, 7.005], [0.000, -5.079, 7.005]], "species": ["Ti", "Ti", "Ti", "Co", "Co", "Te", "P", "P", "P", "P", "P", "P", "O", "O", "O", "O", "O", "O", "O", "O", "O", "O", "O", "O", "O", "O", "O", "O", "O", "O", "O", "O", "O", "O", "O", "O"], "fractional_positions": [[0.000, 0.000, 0.000], [0.217, 0.217, 0.217], [0.500, 0.500, 0.500], [0.364, 0.364, 0.364], [0.868, 0.868, 0.868], [0.716, 0.716, 0.716], [0.115, 0.820, 0.395], [0.310, 0.605, 0.906], [0.395, 0.115, 0.820], [0.605, 0.906, 0.310], [0.820, 0.395, 0.115], [0.906, 0.310, 0.605], [0.044, 0.860, 0.242], [0.097, 0.290, 0.446], [0.121, 0.768, 0.920], [0.185, 0.977, 0.344], [0.242, 0.044, 0.860], [0.274, 0.627, 0.412], [0.290, 0.446, 0.097], [0.344, 0.185, 0.977], [0.362, 0.549, 0.739], [0.412, 0.274, 0.627], [0.446, 0.097, 0.290], [0.461, 0.668, 0.884], [0.549, 0.739, 0.362], [0.590, 0.960, 0.812], [0.627, 0.412, 0.274], [0.668, 0.884, 0.461], [0.739, 0.362, 0.549], [0.768, 0.920, 0.121], [0.812, 0.590, 0.960], [0.860, 0.242, 0.044], [0.884, 0.461, 0.668], [0.920, 0.121, 0.768], [0.960, 0.812, 0.590], [0.977, 0.344, 0.185]], "final_energy_ev_per_atom": -7.41, "m_tot_mub_per_atom": 0.111}